Entry from the Materials Project: LiH2SO4 after structural relaxation (PBE-GGA).

a b c (Å): 6.135 10.595 10.194
angles (deg): 90.00 90.00 90.00
Fractional positions:
Li 0.059 0.073 0.164
Li 0.059 0.427 0.164
Li 0.441 0.573 0.664
Li 0.441 0.927 0.664
Li 0.559 0.073 0.336
Li 0.559 0.427 0.336
Li 0.941 0.573 0.836
Li 0.941 0.927 0.836
H 0.203 0.107 0.751
H 0.203 0.393 0.751
H 0.208 0.548 0.381
H 0.208 0.952 0.381
H 0.292 0.048 0.881
H 0.292 0.452 0.881
H 0.297 0.607 0.251
H 0.297 0.893 0.251
H 0.703 0.107 0.749
H 0.703 0.393 0.749
H 0.708 0.548 0.119
H 0.708 0.952 0.119
H 0.792 0.048 0.619
H 0.792 0.452 0.619
H 0.797 0.607 0.249
H 0.797 0.893 0.249
S 0.033 0.750 0.591
S 0.239 0.750 0.034
S 0.261 0.250 0.534
S 0.467 0.250 0.091
S 0.533 0.750 0.909
S 0.739 0.750 0.466
S 0.761 0.250 0.966
S 0.967 0.250 0.409
O 0.045 0.250 0.271
O 0.123 0.633 0.003
O 0.123 0.867 0.003
O 0.147 0.633 0.556
O 0.147 0.867 0.556
O 0.166 0.250 0.668
O 0.234 0.025 0.794
O 0.234 0.475 0.794
O 0.266 0.525 0.294
O 0.266 0.975 0.294
O 0.334 0.750 0.168
O 0.353 0.133 0.056
O 0.353 0.367 0.056
O 0.377 0.133 0.503
O 0.377 0.367 0.503
O 0.455 0.750 0.771
O 0.545 0.250 0.229
O 0.623 0.633 0.497
O 0.623 0.867 0.497
O 0.647 0.633 0.944
O 0.647 0.867 0.944
O 0.666 0.250 0.832
O 0.734 0.025 0.706
O 0.734 0.475 0.706
O 0.766 0.525 0.206
O 0.766 0.975 0.206
O 0.834 0.750 0.332
O 0.853 0.133 0.444
O 0.853 0.367 0.444
O 0.877 0.133 0.997
O 0.877 0.367 0.997
O 0.955 0.750 0.729

Summary:
**Space-group type**: No. 62
**Energy**: -5.48 eV per atom
**Size of the total moment**: 0.0 μB per cell
**DFT formation energy**: -1744 meV per atom